# 1
Gd2B4O9: optimized geometry, PBE.

a = 12.961 Å, b = 12.961 Å, c = 25.048 Å
α = 99.71°, β = 99.71°, γ = 19.81°
Element x y z (fractional)
Gd  0.035  0.683  0.708
Gd  0.079  0.490  0.370
Gd  0.116  0.576  0.539
Gd  0.159  0.816  0.821
Gd  0.184  0.841  0.679
Gd  0.233  0.638  0.428
Gd  0.317  0.965  0.792
Gd  0.362  0.767  0.072
Gd  0.424  0.884  0.961
Gd  0.490  0.079  0.870
Gd  0.510  0.921  0.130
Gd  0.576  0.116  0.039
Gd  0.638  0.233  0.928
Gd  0.683  0.035  0.208
Gd  0.767  0.362  0.572
Gd  0.816  0.159  0.321
Gd  0.841  0.184  0.179
Gd  0.884  0.424  0.461
Gd  0.921  0.510  0.630
Gd  0.965  0.317  0.292
B  0.019  0.465  0.039
B  0.047  0.662  0.837
B  0.074  0.631  0.941
B  0.079  0.419  0.218
B  0.126  0.728  0.030
B  0.146  0.463  0.133
B  0.227  0.575  0.308
B  0.270  0.625  0.225
B  0.272  0.874  0.470
B  0.277  0.540  0.123
B  0.285  0.655  0.565
B  0.338  0.953  0.663
B  0.345  0.715  0.935
B  0.369  0.926  0.559
B  0.375  0.730  0.275
B  0.419  0.079  0.718
B  0.425  0.773  0.192
B  0.460  0.723  0.377
B  0.463  0.146  0.633
B  0.465  0.019  0.539
B  0.535  0.981  0.461
B  0.537  0.854  0.367
B  0.540  0.277  0.623
B  0.575  0.227  0.808
B  0.581  0.921  0.282
B  0.625  0.270  0.725
B  0.631  0.074  0.441
B  0.655  0.285  0.065
B  0.662  0.047  0.337
B  0.715  0.345  0.435
B  0.723  0.460  0.877
B  0.728  0.126  0.530
B  0.730  0.375  0.775
B  0.773  0.425  0.692
B  0.854  0.537  0.867
B  0.874  0.272  0.970
B  0.921  0.581  0.782
B  0.926  0.369  0.059
B  0.953  0.338  0.163
B  0.981  0.535  0.961
O  0.003  0.724  0.335
O  0.034  0.557  0.827
O  0.057  0.248  0.555
O  0.058  0.817  0.521
O  0.094  0.691  0.073
O  0.114  0.694  0.253
O  0.123  0.747  0.169
O  0.161  0.286  0.986
O  0.169  0.226  0.866
O  0.169  0.788  0.915
O  0.182  0.818  0.250
O  0.183  0.942  0.979
O  0.185  0.417  0.945
O  0.188  0.271  0.757
O  0.198  0.543  0.891
O  0.212  0.831  0.585
O  0.226  0.169  0.366
O  0.235  0.527  0.799
O  0.245  0.542  0.984
O  0.247  0.296  0.081
O  0.248  0.057  0.055
O  0.253  0.877  0.331
O  0.266  0.309  0.187
O  0.271  0.188  0.257
O  0.276  0.997  0.165
O  0.278  0.629  0.340
O  0.286  0.161  0.486
O  0.295  0.581  0.611
O  0.296  0.247  0.581
O  0.306  0.886  0.247
O  0.307  0.589  0.726
O  0.309  0.266  0.687
O  0.309  0.906  0.427
O  0.351  0.364  0.136
O  0.355  0.595  0.043
O  0.364  0.351  0.636
O  0.371  0.722  0.160
O  0.405  0.645  0.457
O  0.411  0.693  0.774
O  0.417  0.185  0.445
O  0.419  0.705  0.889
O  0.443  0.966  0.673
O  0.457  0.802  0.609
O  0.458  0.755  0.516
O  0.473  0.765  0.701
O  0.527  0.235  0.299
O  0.542  0.245  0.484
O  0.543  0.198  0.391
O  0.557  0.034  0.327
O  0.581  0.295  0.111
O  0.583  0.815  0.555
O  0.589  0.307  0.226
O  0.595  0.355  0.543
O  0.629  0.278  0.840
O  0.636  0.649  0.364
O  0.645  0.405  0.957
O  0.649  0.636  0.864
O  0.691  0.094  0.573
O  0.691  0.734  0.313
O  0.693  0.411  0.274
O  0.694  0.114  0.753
O  0.704  0.753  0.419
O  0.705  0.419  0.389
O  0.714  0.839  0.514
O  0.722  0.371  0.660
O  0.724  0.003  0.835
O  0.729  0.812  0.743
O  0.734  0.691  0.813
O  0.747  0.123  0.669
O  0.752  0.943  0.945
O  0.753  0.704  0.919
O  0.755  0.458  0.016
O  0.765  0.473  0.201
O  0.774  0.831  0.634
O  0.788  0.169  0.415
O  0.802  0.457  0.109
O  0.812  0.729  0.243
O  0.815  0.583  0.055
O  0.817  0.058  0.021
O  0.818  0.182  0.750
O  0.831  0.212  0.085
O  0.831  0.774  0.134
O  0.839  0.714  0.014
O  0.877  0.253  0.831
O  0.886  0.306  0.747
O  0.906  0.309  0.927
O  0.942  0.183  0.479
O  0.943  0.752  0.445
O  0.966  0.443  0.173
O  0.997  0.276  0.665

Summary:
V, Å³ per cell: 1405
Crystal system: monoclinic
Excess energy over the best structure of this formula in the dataset, meV/atom: 14
ΔE_f, kJ per mole of atoms: -313.4


# 2
Ag2S: optimized geometry, PBE.

a = 4.223 Å, b = 7.549 Å, c = 4.239 Å
α = 90.00°, β = 110.55°, γ = 90.00°
Element x y z (fractional)
Ag  0.000  0.000  0.000
Ag  0.000  0.500  0.000
Ag  0.369  0.250  0.608
Ag  0.631  0.750  0.392
S  0.236  0.750  0.790
S  0.764  0.250  0.210

Summary:
V, Å³ per cell: 127
Crystal system: monoclinic
ΔE_f, kJ per mole of atoms: -20.7


# 3
GdAl6Cr6: optimized geometry, PBE.

a = 6.801 Å, b = 6.801 Å, c = 6.801 Å
α = 135.45°, β = 99.09°, γ = 97.43°
Element x y z (fractional)
Gd  0.000  0.000  0.000
Al  0.197  0.500  0.697
Al  0.334  0.334  0.000
Al  0.346  0.000  0.346
Al  0.654  0.000  0.654
Al  0.666  0.666  0.000
Al  0.803  0.500  0.303
Cr  0.000  0.000  0.500
Cr  0.000  0.500  0.000
Cr  0.242  0.742  0.500
Cr  0.500  0.000  0.000
Cr  0.500  0.500  0.500
Cr  0.758  0.258  0.500

Summary:
V, Å³ per cell: 204
Crystal system: orthorhombic
ΔE_f, kJ per mole of atoms: 30.0


# 4
SrEuTe2: optimized geometry, PBE.

a = 4.043 Å, b = 4.043 Å, c = 8.093 Å
α = 90.00°, β = 90.00°, γ = 90.00°
Element x y z (fractional)
Sr  0.000  0.000  0.000
Eu  0.000  0.000  0.500
Te  0.500  0.500  0.252
Te  0.500  0.500  0.748

Summary:
V, Å³ per cell: 132
Crystal system: tetragonal
Excess energy over the best structure of this formula in the dataset, meV/atom: 243
ΔE_f, kJ per mole of atoms: -162.2


# 5
NaF3: optimized geometry, PBE.

a = 5.063 Å, b = 5.063 Å, c = 5.063 Å
α = 142.40°, β = 142.40°, γ = 54.23°
Element x y z (fractional)
Na  0.000  0.000  0.000
F  0.250  0.750  0.500
F  0.500  0.500  0.000
F  0.750  0.250  0.500

Summary:
V, Å³ per cell: 48
Crystal system: tetragonal
ΔE_f, kJ per mole of atoms: -141.5


# 6
CrCu2N3: optimized geometry, PBE.

a = 5.215 Å, b = 5.215 Å, c = 5.374 Å
α = 90.00°, β = 90.00°, γ = 61.95°
Element x y z (fractional)
Cr  0.158  0.842  0.500
Cr  0.842  0.158  0.000
Cu  0.170  0.522  0.949
Cu  0.478  0.830  0.949
Cu  0.522  0.170  0.449
Cu  0.830  0.478  0.449
N  0.144  0.856  0.157
N  0.171  0.514  0.582
N  0.486  0.829  0.582
N  0.514  0.171  0.082
N  0.829  0.486  0.082
N  0.856  0.144  0.657

Summary:
V, Å³ per cell: 129
Crystal system: orthorhombic
ΔE_f, kJ per mole of atoms: 0.0


# 7
CeHSe2O6: optimized geometry, PBE.

a = 8.483 Å, b = 7.154 Å, c = 19.600 Å
α = 90.00°, β = 90.00°, γ = 90.00°
Element x y z (fractional)
Ce  0.055  0.088  0.000
Ce  0.154  0.586  0.088
Ce  0.346  0.586  0.588
Ce  0.445  0.088  0.500
Ce  0.555  0.912  0.000
Ce  0.654  0.414  0.088
Ce  0.846  0.414  0.588
Ce  0.945  0.912  0.500
H  0.080  0.281  0.797
H  0.180  0.214  0.295
H  0.320  0.214  0.795
H  0.420  0.281  0.297
H  0.580  0.719  0.797
H  0.680  0.786  0.295
H  0.820  0.786  0.795
H  0.920  0.719  0.297
Se  0.094  0.429  0.449
Se  0.125  0.562  0.735
Se  0.173  0.924  0.350
Se  0.193  0.068  0.638
Se  0.307  0.068  0.138
Se  0.327  0.924  0.850
Se  0.375  0.562  0.235
Se  0.406  0.429  0.949
Se  0.594  0.571  0.449
Se  0.625  0.438  0.735
Se  0.673  0.076  0.350
Se  0.693  0.932  0.638
Se  0.807  0.932  0.138
Se  0.827  0.076  0.850
Se  0.875  0.438  0.235
Se  0.906  0.571  0.949
O  0.003  0.183  0.863
O  0.006  0.136  0.618
O  0.030  0.738  0.984
O  0.076  0.595  0.515
O  0.082  0.529  0.650
O  0.091  0.138  0.315
O  0.163  0.322  0.763
O  0.183  0.236  0.104
O  0.188  0.635  0.225
O  0.209  0.983  0.433
O  0.211  0.904  0.571
O  0.218  0.364  0.969
O  0.282  0.364  0.469
O  0.289  0.904  0.071
O  0.291  0.983  0.933
O  0.312  0.635  0.725
O  0.317  0.236  0.604
O  0.337  0.322  0.263
O  0.409  0.138  0.815
O  0.418  0.529  0.150
O  0.424  0.595  0.015
O  0.470  0.738  0.484
O  0.494  0.136  0.118
O  0.497  0.183  0.363
O  0.503  0.817  0.863
O  0.506  0.864  0.618
O  0.530  0.262  0.984
O  0.576  0.405  0.515
O  0.582  0.471  0.650
O  0.591  0.862  0.315
O  0.663  0.678  0.763
O  0.683  0.764  0.104
O  0.688  0.365  0.225
O  0.709  0.017  0.433
O  0.711  0.096  0.571
O  0.718  0.636  0.969
O  0.782  0.636  0.469
O  0.789  0.096  0.071
O  0.791  0.017  0.933
O  0.812  0.365  0.725
O  0.817  0.764  0.604
O  0.837  0.678  0.263
O  0.909  0.862  0.815
O  0.918  0.471  0.150
O  0.924  0.405  0.015
O  0.970  0.262  0.484
O  0.994  0.864  0.118
O  0.997  0.817  0.363

Summary:
V, Å³ per cell: 1189
Crystal system: orthorhombic
ΔE_f, kJ per mole of atoms: -187.3


# 8
YTi2CdO6F: optimized geometry, PBE.

a = 7.226 Å, b = 7.226 Å, c = 7.226 Å
α = 121.19°, β = 118.33°, γ = 90.44°
Element x y z (fractional)
Y  0.000  0.000  0.000
Y  0.500  0.000  0.500
Ti  0.000  0.500  0.500
Ti  0.500  0.000  0.000
Ti  0.500  0.500  0.000
Ti  0.500  0.500  0.500
Cd  0.000  0.000  0.500
Cd  0.000  0.500  0.000
O  0.171  0.421  0.750
O  0.173  0.413  0.342
O  0.173  0.832  0.760
O  0.415  0.165  0.250
O  0.428  0.168  0.842
O  0.428  0.587  0.260
O  0.572  0.413  0.740
O  0.572  0.832  0.158
O  0.585  0.835  0.750
O  0.827  0.168  0.240
O  0.827  0.587  0.658
O  0.829  0.579  0.250
F  0.134  0.884  0.250
F  0.866  0.116  0.750

Summary:
V, Å³ per cell: 268
Crystal system: orthorhombic
ΔE_f, kJ per mole of atoms: -307.3